Record 1
Entry from the Materials Project: a geometry-optimized Rb2Sn3Sb2S10 structure (PBE-GGA).

```
data_Rb2Sn3Sb2S10
_chemical_formula_sum 'Rb4 Sn6 Sb4 S20'
_symmetry_space_group_name_H-M 'P 1 21/c 1'
_symmetry_Int_Tables_number 14
_cell_length_a 7.055
_cell_length_b 13.680
_cell_length_c 12.090
_cell_angle_alpha 90.00
_cell_angle_beta 119.41
_cell_angle_gamma 90.00
loop_
_symmetry_equiv_pos_as_xyz
'x,y,z'
'-x,-y,-z'
'-x,y+1/2,-z+1/2'
'x,-y+1/2,z+1/2'
loop_
_atom_site_label
_atom_site_type_symbol
_atom_site_fract_x
_atom_site_fract_y
_atom_site_fract_z
_atom_site_occupancy
Rb1 Rb 0.042 0.170 0.162 1
Sn1 Sn 0.000 0.000 0.500 1
Sn2 Sn 0.390 0.054 0.847 1
Sb1 Sb 0.491 0.147 0.594 1
S1 S 0.001 0.055 0.707 1
S2 S 0.095 0.174 0.463 1
S3 S 0.424 0.101 0.058 1
S4 S 0.424 0.526 0.130 1
S5 S 0.438 0.696 0.686 1
```

Calculated values
M_tot, μB/cell: 0.0
Formation energy, eV per atom: -0.85
Crystal system: monoclinic
E (MP2020), Ry/atom: -0.33750

---

Record 2
Entry from the Materials Project: a geometry-optimized Na8TiZn3P6O24 structure (PBE-GGA).

```
data_Na8TiZn3P6O24
_chemical_formula_sum 'Na24 Ti3 Zn9 P18 O72'
_symmetry_space_group_name_H-M 'P 3'
_symmetry_Int_Tables_number 143
_cell_length_a 9.0240
_cell_length_b 9.0240
_cell_length_c 21.9039
_cell_angle_alpha 90.00
_cell_angle_beta 90.00
_cell_angle_gamma 120.00
loop_
_symmetry_equiv_pos_as_xyz
'x,y,z'
'-y,x-y,z'
'-x+y,-x,z'
loop_
_atom_site_label
_atom_site_type_symbol
_atom_site_fract_x
_atom_site_fract_y
_atom_site_fract_z
_atom_site_occupancy
Na1 Na 0.0000 0.0000 0.0736 1
Na2 Na 0.0000 0.0000 0.5758 1
Na3 Na 0.0000 0.3746 0.8386 1
Na4 Na 0.0340 0.3460 0.1565 1
Na5 Na 0.0412 0.6961 0.6614 1
Na6 Na 0.3213 0.0216 0.4904 1
Na7 Na 0.3333 0.6667 0.2447 1
Na8 Na 0.3333 0.6667 0.7512 1
Na9 Na 0.3340 0.2994 0.0000 1
Na10 Na 0.3756 0.3731 0.3283 1
Na11 Na 0.6667 0.3333 0.4049 1
Na12 Na 0.6667 0.3333 0.9205 1
Ti1 Ti 0.0000 0.0000 0.2305 1
Ti2 Ti 0.0000 0.0000 0.7308 1
Ti3 Ti 0.6667 0.3333 0.5637 1
Zn1 Zn 0.0000 0.0000 0.4258 1
Zn2 Zn 0.0000 0.0000 0.9307 1
Zn3 Zn 0.3333 0.6667 0.0907 1
Zn4 Zn 0.3333 0.6667 0.3988 1
Zn5 Zn 0.3333 0.6667 0.5926 1
Zn6 Zn 0.3333 0.6667 0.9073 1
Zn7 Zn 0.6667 0.3333 0.0676 1
Zn8 Zn 0.6667 0.3333 0.2585 1
Zn9 Zn 0.6667 0.3333 0.7635 1
P1 P 0.0313 0.6616 0.4999 1
P2 P 0.0324 0.3673 0.9972 1
P3 P 0.2944 0.0006 0.3326 1
P4 P 0.2935 0.2913 0.8306 1
P5 P 0.3642 0.3295 0.1670 1
P6 P 0.3713 0.0400 0.6656 1
O1 O 0.0045 0.8174 0.4953 1
O2 O 0.0118 0.8248 0.7725 1
O3 O 0.0132 0.1896 0.2774 1
O4 O 0.0150 0.1874 0.9950 1
O5 O 0.1060 0.6237 0.4425 1
O6 O 0.1130 0.4742 0.9382 1
O7 O 0.1391 0.6900 0.5576 1
O8 O 0.1413 0.4863 0.6585 1
O9 O 0.1423 0.4523 0.0546 1
O10 O 0.1477 0.6625 0.1617 1
O11 O 0.1643 0.6992 0.8273 1
O12 O 0.1673 0.4692 0.3313 1
O13 O 0.1801 0.1640 0.1743 1
O14 O 0.1921 0.0304 0.6664 1
O15 O 0.2120 0.1863 0.8879 1
O16 O 0.2181 0.0251 0.3920 1
O17 O 0.4388 0.2907 0.1100 1
O18 O 0.4675 0.1590 0.6091 1
O19 O 0.4723 0.3105 0.8248 1
O20 O 0.4728 0.3591 0.2247 1
O21 O 0.4742 0.1596 0.3270 1
O22 O 0.4771 0.1181 0.7229 1
O23 O 0.4977 0.1472 0.0012 1
O24 O 0.5044 0.3518 0.5073 1
```

Calculated values
M_tot, μB/cell: 0.0
Formation energy, eV per atom: -2.58
Crystal system: trigonal
E (MP2020), Ry/atom: -0.49300

---

Record 3
Entry from the Materials Project: a geometry-optimized Tl2CuAsO4 structure (PBE-GGA).

```
data_Tl2CuAsO4
_chemical_formula_sum 'Tl8 Cu4 As4 O16'
_symmetry_space_group_name_H-M 'P 1 21/c 1'
_symmetry_Int_Tables_number 14
_cell_length_a 8.828
_cell_length_b 5.489
_cell_length_c 12.381
_cell_angle_alpha 90.00
_cell_angle_beta 99.40
_cell_angle_gamma 90.00
loop_
_symmetry_equiv_pos_as_xyz
'x,y,z'
'-x,-y,-z'
'-x,y+1/2,-z+1/2'
'x,-y+1/2,z+1/2'
loop_
_atom_site_label
_atom_site_type_symbol
_atom_site_fract_x
_atom_site_fract_y
_atom_site_fract_z
_atom_site_occupancy
Tl1 Tl 0.010 0.248 0.384 1
Tl2 Tl 0.313 0.222 0.147 1
Cu1 Cu 0.487 0.196 0.923 1
As1 As 0.286 0.750 0.371 1
O1 O 0.099 0.670 0.820 1
O2 O 0.298 0.069 0.854 1
O3 O 0.322 0.684 0.010 1
O4 O 0.415 0.605 0.803 1
```

Calculated values
M_tot, μB/cell: 0.0
Formation energy, eV per atom: -1.32
Crystal system: monoclinic
E (MP2020), Ry/atom: -0.40261

---

Record 4
Entry from the Materials Project: a geometry-optimized Pu5Rh3 structure (PBE-GGA).

```
data_Pu5Rh3
_chemical_formula_sum 'Pu20 Rh12'
_symmetry_space_group_name_H-M 'P 4/n c c'
_symmetry_Int_Tables_number 130
_cell_length_a 11.153
_cell_length_b 11.153
_cell_length_c 5.635
_cell_angle_alpha 90.00
_cell_angle_beta 90.00
_cell_angle_gamma 90.00
loop_
_symmetry_equiv_pos_as_xyz
'x,y,z'
'-x,-y,-z'
'-y+1/2,x,z'
'y+1/2,-x,-z'
'-x+1/2,-y+1/2,z'
'x+1/2,y+1/2,-z'
'y,-x+1/2,z'
'-y,x+1/2,-z'
'x+1/2,-y,-z+1/2'
'-x+1/2,y,z+1/2'
'-y,-x,-z+1/2'
'y,x,z+1/2'
'-x,y+1/2,-z+1/2'
'x,-y+1/2,z+1/2'
'y+1/2,x+1/2,-z+1/2'
'-y+1/2,-x+1/2,z+1/2'
loop_
_atom_site_label
_atom_site_type_symbol
_atom_site_fract_x
_atom_site_fract_y
_atom_site_fract_z
_atom_site_occupancy
Pu1 Pu 0.031 0.166 0.173 1
Pu2 Pu 0.250 0.750 0.000 1
Rh1 Rh 0.085 0.585 0.750 1
Rh2 Rh 0.250 0.250 0.385 1
```

Calculated values
M_tot, μB/cell: 63.1
Formation energy, eV per atom: -0.37
Crystal system: tetragonal